TlAgTe, relaxed, DFT PBE; calculated volume = 29.143 Å³/atom; energy relative to the elements = -0.359 eV per atom; calculated total energy = -3.00 eV per atom; density = 8.4 g/cm3; space-group type = No. 62
1.0
8.7660 0.0000 0.0000
0.0000 4.9399 0.0000
0.0000 0.0000 8.0762
Tl Ag Te
4 4 4
Direct
0.0122 0.2500 0.1825 Tl
0.4878 0.7500 0.6825 Tl
0.5122 0.2500 0.3175 Tl
0.9878 0.7500 0.8175 Tl
0.1690 0.7500 0.4127 Ag
0.3310 0.2500 0.9127 Ag
0.6690 0.7500 0.0873 Ag
0.8310 0.2500 0.5873 Ag
0.1869 0.2500 0.5973 Te
0.3131 0.7500 0.0973 Te
0.6869 0.2500 0.9027 Te
0.8131 0.7500 0.4027 Te